(1)
Density functional theory data (PBE) for RbInI4 after structural relaxation.

## Properties
Total energy ... -2.5289 eV/atom
E_form ... -1143.5 meV per atom
Symmetry ... No. 161
MP2020-corrected energy ... -2.782 eV per atom

abc: 15.1232 15.1232 15.1232
angles: 115.18 115.18 115.18
Fractional positions:
Rb (0.0402, 0.8238, 0.6360)
Rb (0.1360, 0.3238, 0.5402)
Rb (0.3238, 0.5402, 0.1360)
Rb (0.5402, 0.1360, 0.3238)
Rb (0.6360, 0.0402, 0.8238)
Rb (0.8238, 0.6360, 0.0402)
In (0.0225, 0.6286, 0.8107)
In (0.1286, 0.5225, 0.3107)
In (0.3107, 0.1286, 0.5225)
In (0.5225, 0.3107, 0.1286)
In (0.6286, 0.8107, 0.0225)
In (0.8107, 0.0225, 0.6286)
I (0.0211, 0.2767, 0.7296)
I (0.0624, 0.8570, 0.9105)
I (0.0638, 0.9981, 0.4555)
I (0.2296, 0.7767, 0.5211)
I (0.2399, 0.9231, 0.2935)
I (0.2767, 0.7296, 0.0211)
I (0.2935, 0.2399, 0.9231)
I (0.3570, 0.5624, 0.4105)
I (0.4105, 0.3570, 0.5624)
I (0.4231, 0.7399, 0.7935)
I (0.4555, 0.0638, 0.9981)
I (0.4981, 0.5638, 0.9555)
I (0.5211, 0.2296, 0.7767)
I (0.5624, 0.4105, 0.3570)
I (0.5638, 0.9555, 0.4981)
I (0.7296, 0.0211, 0.2767)
I (0.7399, 0.7935, 0.4231)
I (0.7767, 0.5211, 0.2296)
I (0.7935, 0.4231, 0.7399)
I (0.8570, 0.9105, 0.0624)
I (0.9105, 0.0624, 0.8570)
I (0.9231, 0.2935, 0.2399)
I (0.9555, 0.4981, 0.5638)
I (0.9981, 0.4555, 0.0638)


(2)
Density functional theory data (PBE) for InSn2I5 after structural relaxation.

## Properties
Spin magnetization ... 0.00 μB per formula unit
Total energy ... -2.7627 eV/atom
E_form ... -700.7 meV per atom
Symmetry ... No. 140
MP2020-corrected energy ... -3.000 eV per atom

abc: 10.0528 10.0528 10.0528
angles: 127.31 127.31 77.74
Fractional positions:
In (0.2500, 0.2500, 0.0000)
In (0.7500, 0.7500, 0.0000)
Sn (0.1717, 0.6717, 0.8434)
Sn (0.3283, 0.1717, 0.5000)
Sn (0.6717, 0.8283, 0.5000)
Sn (0.8283, 0.3283, 0.1566)
I (0.0000, 0.0000, 0.0000)
I (0.0215, 0.2027, 0.5000)
I (0.2027, 0.7027, 0.1813)
I (0.2973, 0.4785, 0.5000)
I (0.4785, 0.9785, 0.1813)
I (0.5000, 0.5000, 0.0000)
I (0.5215, 0.0215, 0.8187)
I (0.7027, 0.5215, 0.5000)
I (0.7973, 0.2973, 0.8187)
I (0.9785, 0.7973, 0.5000)


(3)
Density functional theory data (PBE) for Zn2InI4 after structural relaxation.

## Properties
Spin magnetization ... 0.00 μB per formula unit
Total energy ... -2.0068 eV/atom
E_form ... -599.4 meV per atom
Symmetry ... No. 11
MP2020-corrected energy ... -2.223 eV per atom

abc: 7.7639 10.5016 8.4132
angles: 90.00 117.00 90.00
Fractional positions:
Zn (0.2233, 0.2500, 0.3301)
Zn (0.2269, 0.2500, 0.7997)
Zn (0.7731, 0.7500, 0.2003)
Zn (0.7767, 0.7500, 0.6699)
In (0.1358, 0.7500, 0.4907)
In (0.8642, 0.2500, 0.5093)
I (0.0084, 0.5538, 0.7447)
I (0.0084, 0.9462, 0.7447)
I (0.4464, 0.2500, 0.1584)
I (0.4959, 0.2500, 0.6688)
I (0.5041, 0.7500, 0.3312)
I (0.5536, 0.7500, 0.8416)
I (0.9916, 0.0538, 0.2553)
I (0.9916, 0.4462, 0.2553)


- Number 2 is which compound?
  InSn2I5


- Among the records above, which one has the lowest total energy?
  InSn2I5